## MgFe6O10F2 (PBE with a Hubbard U)

Data for an optimized crystal structure of MgFe6O10F2.

Unit cell a=7.070 b=5.689 c=5.929 alpha=81.93 beta=71.06 gamma=74.25
Positions (direct):
Mg 0.157 0.341 0.836
Fe 0.835 0.674 0.635
Fe 0.674 0.271 0.398
Fe 0.339 0.751 0.582
Fe 0.165 0.329 0.342
Fe 0.519 0.990 0.997
Fe 0.007 0.920 0.054
O 0.688 0.014 0.655
O 0.286 0.959 0.856
O 0.978 0.239 0.188
O 0.630 0.587 0.532
O 0.051 0.720 0.787
O 0.366 0.408 0.485
O 0.712 0.061 0.137
O 0.327 0.987 0.322
O 0.969 0.333 0.655
O 0.033 0.678 0.308
F 0.361 0.357 0.991
F 0.653 0.643 0.990

## Properties
Magnetization   28.0 μB per formula unit
Calculated formation energy   -1767 meV/atom
E_tot   -6.21 eV/atom

=====

## MgFe6O7F5 (PBE with a Hubbard U)

Data for an optimized crystal structure of MgFe6O7F5.

Unit cell a=5.231 b=5.190 c=8.857 alpha=86.86 beta=92.13 gamma=102.36
Positions (direct):
Mg 0.948 0.472 0.652
Fe 0.969 0.023 0.021
Fe 0.037 0.027 0.347
Fe 0.030 0.986 0.673
Fe 0.571 0.402 0.164
Fe 0.465 0.539 0.847
Fe 0.430 0.578 0.497
O 0.162 0.781 0.505
O 0.319 0.268 0.000
O 0.343 0.315 0.340
O 0.279 0.338 0.671
O 0.700 0.691 0.009
O 0.692 0.692 0.669
O 0.835 0.189 0.179
F 0.152 0.839 0.183
F 0.180 0.746 0.837
F 0.702 0.719 0.341
F 0.831 0.197 0.830
F 0.840 0.198 0.499

## Properties
Magnetization   29.0 μB per formula unit
Calculated formation energy   -2027 meV/atom
E_tot   -6.03 eV/atom

=====

## MgFe4O4F4 (PBE with a Hubbard U)

Data for an optimized crystal structure of MgFe4O4F4.

Unit cell a=5.277 b=9.920 c=3.055 alpha=88.87 beta=89.47 gamma=99.26
Positions (direct):
Mg 0.114 0.262 0.960
Fe 0.994 0.975 0.984
Fe 0.869 0.548 0.008
Fe 0.628 0.233 0.467
Fe 0.371 0.752 0.496
O 0.131 0.884 0.488
O 0.221 0.652 0.005
O 0.808 0.351 0.975
O 0.928 0.110 0.479
F 0.307 0.350 0.453
F 0.377 0.129 0.958
F 0.620 0.865 0.993
F 0.675 0.638 0.503

## Properties
Magnetization   18.0 μB per formula unit
Calculated formation energy   -2173 meV/atom
E_tot   -5.97 eV/atom

=====

## MgFe4O4F4 (PBE with a Hubbard U)

Data for an optimized crystal structure of MgFe4O4F4.

Unit cell a=5.928 b=5.468 c=5.463 alpha=105.82 beta=68.96 gamma=71.95
Positions (direct):
Mg 0.751 0.619 0.869
Fe 0.171 0.011 0.111
Fe 0.796 0.716 0.343
Fe 0.331 0.280 0.681
Fe 0.708 0.137 0.010
O 0.513 0.954 0.796
O 0.990 0.308 0.967
O 0.028 0.768 0.950
O 0.474 0.975 0.293
F 0.478 0.479 0.949
F 0.025 0.426 0.457
F 0.544 0.435 0.444
F 0.959 0.987 0.479

## Properties
Magnetization   18.0 μB per formula unit
Calculated formation energy   -2084 meV/atom
E_tot   -5.88 eV/atom

=====

## MgFe6O8F4 (PBE with a Hubbard U)

Data for an optimized crystal structure of MgFe6O8F4.

Unit cell a=5.093 b=5.144 c=8.927 alpha=91.98 beta=89.57 gamma=101.43
Positions (direct):
Mg 0.501 0.003 0.338
Fe 0.982 0.030 0.006
Fe 0.000 0.002 0.334
Fe 0.016 0.973 0.661
Fe 0.571 0.457 0.161
Fe 0.536 0.463 0.835
Fe 0.425 0.549 0.515
O 0.208 0.833 0.488
O 0.311 0.304 0.005
O 0.316 0.301 0.338
O 0.278 0.311 0.673
O 0.728 0.686 0.002
O 0.684 0.704 0.337
O 0.694 0.693 0.669
O 0.792 0.170 0.183
F 0.202 0.849 0.174
F 0.169 0.848 0.837
F 0.797 0.185 0.838
F 0.803 0.154 0.500

## Properties
Magnetization   30.0 μB per formula unit
Calculated formation energy   -1937 meV/atom
E_tot   -6.08 eV/atom

=====

## MgFe6O10F2 (PBE with a Hubbard U)

Data for an optimized crystal structure of MgFe6O10F2.

Unit cell a=8.217 b=5.755 c=5.907 alpha=67.92 beta=63.61 gamma=64.89
Positions (direct):
Mg 0.488 0.003 0.534
Fe 0.880 0.676 0.677
Fe 0.681 0.362 0.312
Fe 0.304 0.629 0.664
Fe 0.120 0.305 0.311
Fe 0.537 0.031 0.017
Fe 0.981 0.995 0.006
O 0.677 0.033 0.646
O 0.330 0.345 0.971
O 0.954 0.229 0.212
O 0.034 0.769 0.782
O 0.411 0.401 0.445
O 0.696 0.091 0.147
O 0.336 0.968 0.362
O 0.676 0.659 0.019
O 0.992 0.302 0.690
O 0.004 0.687 0.310
F 0.288 0.889 0.860
F 0.605 0.603 0.557

## Properties
Magnetization   28.0 μB per formula unit
Calculated formation energy   -1764 meV/atom
E_tot   -6.21 eV/atom

=====

## MgFe6O11F (PBE with a Hubbard U)

Data for an optimized crystal structure of MgFe6O11F.

Unit cell a=7.640 b=5.734 c=5.581 alpha=71.19 beta=69.31 gamma=67.56
Positions (direct):
Mg 0.498 0.515 0.989
Fe 0.865 0.671 0.668
Fe 0.698 0.313 0.369
Fe 0.313 0.653 0.604
Fe 0.159 0.323 0.322
Fe 0.531 0.006 0.019
Fe 0.998 0.004 0.998
O 0.675 0.013 0.652
O 0.327 0.341 0.959
O 0.980 0.211 0.237
O 0.593 0.548 0.594
O 0.041 0.783 0.761
O 0.362 0.436 0.380
O 0.703 0.146 0.096
O 0.339 0.973 0.349
O 0.685 0.644 0.036
O 0.006 0.311 0.687
O 0.989 0.686 0.302
F 0.303 0.862 0.907

## Properties
Magnetization   23.0 μB per formula unit
Calculated formation energy   -1542 meV/atom
E_tot   -6.13 eV/atom

=====

## MgFe12O12F12 (PBE with a Hubbard U)

Data for an optimized crystal structure of MgFe12O12F12.

Unit cell a=9.667 b=14.572 c=3.077 alpha=90.00 beta=90.07 gamma=90.16
Positions (direct):
Mg 0.263 0.004 0.480
Fe 0.987 0.997 0.989
Fe 0.008 0.337 0.000
Fe 0.000 0.663 0.001
Fe 0.229 0.185 0.498
Fe 0.245 0.486 0.501
Fe 0.250 0.833 0.504
Fe 0.500 0.349 0.000
Fe 0.534 0.993 0.985
Fe 0.517 0.660 0.999
Fe 0.753 0.151 0.490
Fe 0.726 0.497 0.500
Fe 0.728 0.824 0.493
O 0.086 0.272 0.500
O 0.088 0.936 0.491
O 0.184 0.101 0.994
O 0.147 0.435 0.001
O 0.347 0.927 0.983
O 0.403 0.401 0.500
O 0.612 0.933 0.487
O 0.594 0.597 0.499
O 0.657 0.104 0.990
O 0.659 0.431 0.000
O 0.646 0.763 0.994
O 0.907 0.067 0.490
F 0.106 0.594 0.502
F 0.152 0.759 0.006
F 0.343 0.243 0.998
F 0.343 0.565 0.001
F 0.424 0.082 0.490
F 0.403 0.726 0.500
F 0.589 0.271 0.498
F 0.842 0.240 0.997
F 0.845 0.888 0.992
F 0.846 0.560 0.001
F 0.900 0.402 0.500
F 0.892 0.731 0.499

## Properties
Magnetization   58.0 μB per formula unit
Calculated formation energy   -2078 meV/atom
E_tot   -5.99 eV/atom

=====

## MgFe4O4F4 (PBE with a Hubbard U)

Data for an optimized crystal structure of MgFe4O4F4.

Unit cell a=5.330 b=9.784 c=2.956 alpha=90.00 beta=90.00 gamma=95.70
Positions (direct):
Mg 0.500 0.500 0.515
Fe 0.000 0.000 0.010
Fe 0.000 0.500 0.015
Fe 0.600 0.221 0.513
Fe 0.400 0.779 0.513
O 0.137 0.895 0.510
O 0.345 0.624 0.014
O 0.655 0.376 0.014
O 0.863 0.105 0.510
F 0.178 0.385 0.515
F 0.357 0.133 0.012
F 0.643 0.867 0.012
F 0.822 0.615 0.515

## Properties
Magnetization   18.0 μB per formula unit
Calculated formation energy   -2142 meV/atom
E_tot   -5.94 eV/atom

=====

## MgFe6O10F2 (PBE with a Hubbard U)

Data for an optimized crystal structure of MgFe6O10F2.

Unit cell a=12.073 b=6.428 c=3.003 alpha=90.10 beta=89.44 gamma=71.86
Positions (direct):
Mg 0.501 0.997 0.961
Fe 0.016 0.990 0.997
Fe 0.992 0.504 0.500
Fe 0.272 0.343 0.993
Fe 0.708 0.181 0.479
Fe 0.290 0.822 0.484
Fe 0.706 0.673 0.000
O 0.991 0.307 0.000
O 0.331 0.004 0.980
O 0.997 0.698 0.999
O 0.174 0.386 0.496
O 0.120 0.934 0.493
O 0.314 0.614 0.983
O 0.693 0.377 0.981
O 0.581 0.768 0.456
O 0.813 0.618 0.510
O 0.674 0.011 0.978
F 0.446 0.222 0.467
F 0.882 0.062 0.494

## Properties
Magnetization   28.0 μB per formula unit
Calculated formation energy   -1742 meV/atom
E_tot   -6.18 eV/atom

=====

## MgFe6O8F4 (PBE with a Hubbard U)

Data for an optimized crystal structure of MgFe6O8F4.

Unit cell a=5.202 b=5.187 c=8.785 alpha=87.51 beta=92.18 gamma=103.10
Positions (direct):
Mg 0.049 0.529 0.018
Fe 0.961 0.013 0.994
Fe 0.991 0.003 0.322
Fe 0.029 0.962 0.648
Fe 0.562 0.420 0.179
Fe 0.527 0.461 0.821
Fe 0.422 0.575 0.489
O 0.172 0.809 0.488
O 0.303 0.307 0.993
O 0.304 0.303 0.331
O 0.296 0.301 0.664
O 0.712 0.660 0.995
O 0.681 0.702 0.324
O 0.679 0.712 0.666
O 0.836 0.222 0.161
F 0.167 0.815 0.163
F 0.169 0.799 0.840
F 0.810 0.252 0.832
F 0.845 0.155 0.494

## Properties
Magnetization   28.0 μB per formula unit
Calculated formation energy   -1912 meV/atom
E_tot   -6.06 eV/atom

=====

## MgFe4O4F4 (PBE with a Hubbard U)

Data for an optimized crystal structure of MgFe4O4F4.

Unit cell a=6.047 b=5.532 c=5.421 alpha=109.40 beta=70.38 gamma=74.62
Positions (direct):
Mg 0.751 0.438 0.687
Fe 0.264 0.927 0.117
Fe 0.766 0.738 0.323
Fe 0.236 0.387 0.687
Fe 0.738 0.089 0.990
O 0.612 0.845 0.765
O 0.900 0.380 0.960
O 0.019 0.815 0.978
O 0.478 0.992 0.333
F 0.439 0.432 0.952
F 0.072 0.390 0.383
F 0.568 0.422 0.426
F 0.925 0.004 0.512

## Properties
Magnetization   6.0 μB per formula unit
Calculated formation energy   -2019 meV/atom
E_tot   -5.81 eV/atom

=====

Question: What is the formula in the fourth record?
Answer: MgFe4O4F4